Record 1
# NaZrCuTe3

NaZrCuTe3 after structural relaxation (PBE, Materials Project).

Results
Formation energy in eV per atom: -0.935
Symmetry: No. 62

a = 14.786 Å, b = 4.087 Å, c = 11.092 Å
α = 90.00°, β = 90.00°, γ = 90.00°
Positions (direct):
Na  0.227  0.250  0.050
Na  0.273  0.750  0.550
Na  0.727  0.250  0.450
Na  0.773  0.750  0.950
Zr  0.010  0.250  0.317
Zr  0.490  0.750  0.817
Zr  0.510  0.250  0.183
Zr  0.990  0.750  0.683
Cu  0.008  0.750  0.093
Cu  0.492  0.250  0.593
Cu  0.508  0.750  0.407
Cu  0.992  0.250  0.907
Te  0.102  0.250  0.562
Te  0.106  0.750  0.886
Te  0.141  0.750  0.251
Te  0.359  0.250  0.751
Te  0.394  0.250  0.386
Te  0.398  0.750  0.062
Te  0.602  0.250  0.938
Te  0.606  0.750  0.614
Te  0.641  0.750  0.249
Te  0.859  0.250  0.749
Te  0.894  0.250  0.114
Te  0.898  0.750  0.438

Record 2
# Sr2NdNbCu2O8

Sr2NdNbCu2O8 after structural relaxation (PBE, Materials Project).

Results
Formation energy in eV per atom: -2.690
Symmetry: No. 12

a = 5.540 Å, b = 5.540 Å, c = 12.478 Å
α = 102.73°, β = 102.73°, γ = 89.97°
Positions (direct):
Sr  0.088  0.088  0.199
Sr  0.411  0.411  0.801
Sr  0.589  0.589  0.199
Sr  0.912  0.912  0.801
Nd  0.249  0.249  0.500
Nd  0.751  0.751  0.500
Nb  0.000  0.500  0.000
Nb  0.500  0.000  0.000
Cu  0.171  0.672  0.353
Cu  0.328  0.829  0.647
Cu  0.672  0.171  0.353
Cu  0.829  0.328  0.647
O  0.058  0.058  0.627
O  0.068  0.592  0.166
O  0.077  0.563  0.630
O  0.186  0.814  0.000
O  0.318  0.318  0.009
O  0.408  0.932  0.834
O  0.422  0.422  0.367
O  0.437  0.923  0.370
O  0.563  0.077  0.630
O  0.578  0.578  0.633
O  0.592  0.068  0.166
O  0.682  0.682  0.991
O  0.814  0.186  0.000
O  0.923  0.437  0.370
O  0.932  0.408  0.834
O  0.942  0.942  0.373

Number 1: energy with MP2020 corrections -29.011 eV/f.u.. Number 2: energy with MP2020 corrections -103.694 eV/f.u..